# DyP3O9 GGA-PBE optimized geometry
data_DyP3O9
_chemical_formula_sum 'Dy4 P12 O36'
_symmetry_space_group_name_H-M 'C 1 c 1'
_symmetry_Int_Tables_number 9
_symmetry_space_group_name_Hall 'C -2yc'
_cell_length_a 14.444
_cell_length_b 6.918
_cell_length_c 10.264
_cell_angle_alpha 90.00
_cell_angle_beta 126.98
_cell_angle_gamma 90.00
loop_
_atom_site_label
_atom_site_fract_x
_atom_site_fract_y
_atom_site_fract_z
Dy1 0.000 0.241 0.000
P1 0.160 0.101 0.841
P2 0.245 0.420 0.733
P3 0.354 0.101 0.667
O1 0.073 0.147 0.871
O2 0.121 0.025 0.198
O3 0.140 0.464 0.109
O4 0.214 0.300 0.836
O5 0.262 0.263 0.635
O6 0.276 0.017 0.001
O7 0.356 0.475 0.353
O8 0.389 0.024 0.309
O9 0.448 0.192 0.664
# ΔE to the lowest computed polymorph ... 8 meV/atom
# Formation enthalpy at 0 K ... -291 kJ/mol of atoms
# Crystal system ... monoclinic